# 1
Compound: Rb2BiAuBr6
Source: the Materials Project database
Functional: GGA-PBE
Structure: relaxed

Unit cell a=11.3939 b=11.3939 c=11.3939 alpha=90.00 beta=90.00 gamma=90.00
Last column: nearest neighbours and their distance in Å.
Space group Fm-3m (No. 225)
Unique sites:
Rb 0.2500 0.2500 0.2500  12 Br 4.03
Bi 0.0000 0.0000 0.0000  6 Br 2.88
Au 0.0000 0.0000 0.5000  6 Br 2.82
Br 0.0000 0.0000 0.2529  1 Au 2.82, 1 Bi 2.88

Computed properties:
Final energy ... -2.890 eV per atom

=====

# 2
Compound: Ca2Bi3Au10
Source: the Materials Project database
Functional: GGA-PBE
Structure: relaxed

Unit cell a=5.6985 b=5.6985 c=70.5248 alpha=90.00 beta=90.00 gamma=120.00
Last column: nearest neighbours and their distance in Å.
Space group R3m (No. 160, hexagonal axes)
Unique sites:
Ca 0.0000 0.0000 0.0000  12 Au 3.32-3.37, 4 Bi 3.51-3.54
Ca 0.0000 0.0000 0.1993  12 Au 3.34-3.36, 4 Bi 3.49-3.61
Ca 0.0000 0.0000 0.3997  12 Au 3.34-3.40, 4 Bi 3.49
Ca 0.0000 0.0000 0.7996  12 Au 3.34-3.37, 4 Bi 3.50-3.51
Bi 0.0000 0.0000 0.0498  12 Au 3.34-3.37, 4 Ca 3.49-3.51
Bi 0.0000 0.0000 0.2505  12 Au 3.33-3.40, 3 Bi 3.46, 1 Ca 3.61
Bi 0.0000 0.0000 0.4492  12 Au 3.34-3.39, 4 Ca 3.49-3.50
Bi 0.0000 0.0000 0.5991  12 Au 3.34-3.38, 4 Bi 3.45-3.46
Bi 0.0000 0.0000 0.6480  12 Au 3.28-3.44, 1 Bi 3.45, 3 Ca 3.54
Bi 0.0000 0.0000 0.8493  12 Au 3.34-3.35, 4 Ca 3.49-3.51
Au 0.0000 0.0000 0.1246  6 Au 2.86-2.88
Au 0.0000 0.0000 0.3246  6 Au 2.85-2.86
Au 0.0000 0.0000 0.5244  6 Au 2.85-2.87
Au 0.0000 0.0000 0.7246  6 Au 2.86-2.89
Au 0.0000 0.0000 0.9243  6 Au 2.88-2.90
Au 0.0000 0.5000 0.2241  6 Au 2.85-2.88
Au 0.0008 0.5004 0.4244  6 Au 2.84-2.88
Au 0.0012 0.5006 0.8245  6 Au 2.84-2.87
Au 0.0019 0.5010 0.6249  6 Au 2.83-2.90
Au 0.1670 0.3340 0.3575  6 Au 2.84-2.89

Computed properties:
Final energy ... -3.571 eV per atom

=====

# 3
Compound: K2BiAuCl6
Source: the Materials Project database
Functional: GGA-PBE
Structure: relaxed

Unit cell a=10.8257 b=10.8257 c=10.8257 alpha=90.00 beta=90.00 gamma=90.00
Last column: nearest neighbours and their distance in Å.
Space group Fm-3m (No. 225)
Unique sites:
K 0.2500 0.2500 0.2500  12 Cl 3.83
Bi 0.0000 0.0000 0.0000  6 Cl 2.72
Au 0.0000 0.0000 0.5000  6 Cl 2.69
Cl 0.0000 0.0000 0.2512  1 Au 2.69, 1 Bi 2.72

Computed properties:
Final energy ... -3.185 eV per atom

=====

# 4
Compound: Cs2BiAuI6
Source: the Materials Project database
Functional: GGA-PBE
Structure: relaxed

Unit cell a=12.1959 b=12.1959 c=12.1959 alpha=90.00 beta=90.00 gamma=90.00
Last column: nearest neighbours and their distance in Å.
Space group Fm-3m (No. 225)
Unique sites:
Cs 0.2500 0.2500 0.2500  12 I 4.31
Bi 0.0000 0.0000 0.0000  6 I 3.11
Au 0.0000 0.0000 0.5000  6 I 2.99
I 0.0000 0.0000 0.2552  1 Au 2.99, 1 Bi 3.11

Computed properties:
Final energy ... -2.604 eV per atom

=====

Q: Which formula does entry 3 have?
A: K2BiAuCl6